DFT (PBE-GGA) results for crystalline Ho5BiPt2 at its relaxed geometry.

Structure (extended XYZ):
```
16
Lattice="-3.879 3.879 6.949 3.879 -3.879 6.949 3.879 3.879 -6.949" Properties=species:S:1:pos:R:3 pbc="T T T"
Ho 0.000 0.000 0.000
Ho 5.099 1.220 -1.882
Ho 1.220 2.659 -1.882
Ho 5.099 1.220 1.882
Ho 1.220 2.659 1.882
Ho 0.000 0.000 6.949
Ho 2.659 1.220 5.067
Ho -1.220 2.659 5.067
Ho 2.659 1.220 8.831
Ho -1.220 2.659 8.831
Bi 0.000 0.000 3.474
Bi 0.000 0.000 10.423
Pt 2.812 1.067 0.000
Pt 2.812 -1.067 6.949
Pt 1.067 4.946 0.000
Pt 1.067 2.812 6.949
```

Output
- Formation energy from the elements: -0.926 eV/atom
- E_tot: -5.79 eV/atom
- Space group: No. 140
- Calculated volume: 418.3 Å³/cell